No. 1
The following is a r²SCAN calculation of crystalline SrAg4Sb2 at its relaxed geometry, from the Materials Project database.

Results
Crystal system: trigonal
DFT formation energy (meV per atom): -356

Cell lengths 4.7512, 4.7512, 25.3173 Å; angles 90.00, 90.00, 120.00 degrees
Space group R-3m (No. 166, hexagonal axes)
Inequivalent atoms, fractional coordinates:
Sr1 0.0000 0.0000 0.0000 [3 per cell]
Ag1 0.0000 0.0000 0.1429 [6 per cell]
Ag2 0.0000 0.0000 0.4358 [6 per cell]
Sb1 0.0000 0.0000 0.2547 [6 per cell]


No. 2
The following is a r²SCAN calculation of crystalline Yb2AgSb at its relaxed geometry, from the Materials Project database.

Results
Crystal system: cubic
DFT formation energy (meV per atom): -513

Cell lengths 7.2352, 7.2352, 7.2352 Å; angles 90.00, 90.00, 90.00 degrees
Space group Fm-3m (No. 225)
Inequivalent atoms, fractional coordinates:
Yb1 0.2500 0.2500 0.2500 [8 per cell]
Ag1 0.0000 0.0000 0.0000 [4 per cell]
Sb1 0.0000 0.0000 0.5000 [4 per cell]


No. 3
The following is a r²SCAN calculation of crystalline ScAg2 at its relaxed geometry, from the Materials Project database.

Results
Crystal system: tetragonal
DFT formation energy (meV per atom): -291

Cell lengths 3.5383, 3.5383, 8.9264 Å; angles 90.00, 90.00, 90.00 degrees
Space group I4/mmm (No. 139)
Inequivalent atoms, fractional coordinates:
Sc1 0.0000 0.0000 0.0000 [2 per cell]
Ag1 0.0000 0.0000 0.3334 [4 per cell]


No. 4
The following is a r²SCAN calculation of crystalline ScAg3 at its relaxed geometry, from the Materials Project database.

Results
Crystal system: cubic
DFT formation energy (meV per atom): -157

Cell lengths 6.6398, 6.6398, 6.6398 Å; angles 90.00, 90.00, 90.00 degrees
Space group Fm-3m (No. 225)
Inequivalent atoms, fractional coordinates:
Sc1 0.0000 0.0000 0.0000 [4 per cell]
Ag1 0.0000 0.0000 0.5000 [4 per cell]
Ag2 0.2500 0.2500 0.2500 [8 per cell]


No. 5
The following is a r²SCAN calculation of crystalline ScAg4 at its relaxed geometry, from the Materials Project database.

Results
Crystal system: tetragonal
DFT formation energy (meV per atom): -186

Cell lengths 6.6012, 6.6012, 4.0833 Å; angles 90.00, 90.00, 90.00 degrees
Space group I4/m (No. 87)
Inequivalent atoms, fractional coordinates:
Sc1 0.0000 0.0000 0.0000 [2 per cell]
Ag1 0.0996 0.6996 0.5000 [8 per cell]


No. 6
The following is a r²SCAN calculation of crystalline ScAgSn at its relaxed geometry, from the Materials Project database.

Results
Crystal system: orthorhombic
DFT formation energy (meV per atom): -491

Cell lengths 8.7258, 12.3266, 7.1387 Å; angles 90.00, 90.00, 90.00 degrees
Space group Ima2 (No. 46)
Inequivalent atoms, fractional coordinates:
Sc1 0.2500 0.0012 0.0000 [4 per cell]
Sc2 0.2500 0.2293 0.3313 [4 per cell]
Sc3 0.2500 0.7080 0.8559 [4 per cell]
Ag1 0.0000 0.0000 0.3194 [4 per cell]
Ag2 0.0231 0.6219 0.1878 [8 per cell]
Sn1 0.0032 0.6669 0.5639 [8 per cell]
Sn2 0.2500 0.0213 0.5649 [4 per cell]